Computed, not measured: an optimized crystal structure of CaAgF5 at the PBE level of DFT.

Unit cell a=5.751 b=5.817 c=8.121 alpha=110.45 beta=96.32 gamma=108.87
Fractional coordinates of all 14 atoms:
Ca  0.000  0.000  0.000
Ca  0.084  0.579  0.496
Ag  0.542  0.788  0.247
Ag  0.543  0.290  0.748
F  0.221  0.014  0.773
F  0.236  0.439  0.219
F  0.281  0.883  0.121
F  0.330  0.425  0.626
F  0.442  0.930  0.490
F  0.642  0.647  0.006
F  0.760  0.160  0.869
F  0.802  0.695  0.373
F  0.846  0.142  0.277
F  0.867  0.570  0.725

Computed properties:
symmetry: P1
energy of formation from the pure elements: -2.529 eV per atom
E: -4.2579 eV/atom